Entry from Materials Project: an optimized crystal structure of K3Cr11S18 (r2SCAN).

Values from the calculation:
ρ: 3.45 g/cm³
E_tot: -11.404 eV per atom
V: 19.06 A^3/atom
ΔH_f (0 K): -1139 meV per atom

Cell: 10.8185 10.8185 16.5228 Å, 99.67 99.67 18.67°
Last column: nearest neighbours and their distance in Å.
Element x y z (fractional)
K 0.0000 0.0000 0.0000  10 S 3.37-3.77, 2 K 3.51
K 0.3046 0.3046 0.4064  7 S 3.16-3.37, 2 K 3.51
K 0.6954 0.6954 0.5936  7 S 3.16-3.37, 2 K 3.51
Cr 0.0307 0.0307 0.7538  6 S 2.35-2.52
Cr 0.0914 0.0914 0.3705  6 S 2.36-2.53
Cr 0.2052 0.2052 0.0695  6 S 2.35-2.55
Cr 0.3340 0.3340 0.1798  6 S 2.35-2.51
Cr 0.3477 0.3477 0.7775  6 S 2.37-2.48
Cr 0.5000 0.5000 0.5000  6 S 2.42-2.44
Cr 0.6523 0.6523 0.2225  6 S 2.37-2.48
Cr 0.6660 0.6660 0.8202  6 S 2.35-2.51
Cr 0.7948 0.7948 0.9305  6 S 2.35-2.55
Cr 0.9086 0.9086 0.6295  6 S 2.36-2.53
Cr 0.9693 0.9693 0.2462  6 S 2.35-2.52
S 0.0776 0.0776 0.2228  4 Cr 2.37-2.41
S 0.0787 0.0787 0.5099  3 Cr 2.36-2.42
S 0.1352 0.1352 0.7269  3 Cr 2.35
S 0.2074 0.2074 0.9242  5 Cr 2.41-2.55
S 0.2273 0.2273 0.2159  4 Cr 2.38-2.45
S 0.3322 0.3322 0.6254  3 Cr 2.39-2.48
S 0.3676 0.3676 0.9262  3 Cr 2.35-2.42
S 0.4387 0.4387 0.1507  3 Cr 2.37-2.38
S 0.4950 0.4950 0.6467  5 Cr 2.44-2.53
S 0.5050 0.5050 0.3533  5 Cr 2.44-2.53
S 0.5613 0.5613 0.8493  3 Cr 2.37-2.38
S 0.6324 0.6324 0.0738  3 Cr 2.35-2.42
S 0.6678 0.6678 0.3746  3 Cr 2.39-2.48
S 0.7727 0.7727 0.7841  4 Cr 2.38-2.45
S 0.7926 0.7926 0.0758  5 Cr 2.41-2.55
S 0.8648 0.8648 0.2731  3 Cr 2.35
S 0.9213 0.9213 0.4901  3 Cr 2.36-2.42
S 0.9224 0.9224 0.7772  4 Cr 2.37-2.41